28
Lattice="6.3204 -0.0526 0.5484 -0.1078 7.2159 1.0517 -0.0290 -0.1530 12.0676" Properties=species:S:1:pos:R:3 comment="NbCr3Cu2S8 PBE optimized geometry" e_tot_ev_per_cell=-173.90 relative_energy_mev_per_atom=217 spacegroup=P-1 magmom_total_mub_per_fu=9.00 pbc="T T T"
Nb 0.8165 4.9616 9.2535
Nb 5.3671 2.0487 4.4142
Cr 1.4518 6.3489 1.0801
Cr 4.7318 0.6614 12.5877
Cr 2.2579 3.9595 4.3114
Cr 3.9257 3.0508 9.3563
Cr 2.3093 0.2678 3.8140
Cr 3.8743 6.7425 9.8537
Cu 0.7270 1.3204 8.8429
Cu 5.4566 5.6899 4.8248
Cu 1.5727 2.5015 12.5663
Cu 4.6109 4.5088 1.1015
S 0.5750 4.5755 11.5004
S 5.6086 2.4348 2.1674
S 0.5844 0.9104 11.0785
S 5.5991 6.0999 2.5893
S 1.1235 5.5705 5.3365
S 5.0601 1.4398 8.3312
S 1.1947 1.9982 4.8514
S 4.9888 5.0121 8.8163
S 1.8632 6.9553 8.7701
S 4.3204 0.0550 4.8976
S 1.9309 3.1782 8.2621
S 4.2527 3.8321 5.4056
S 2.5653 0.6474 1.6013
S 3.6183 6.3629 12.0664
S 2.3893 4.3190 2.1163
S 3.7942 2.6913 11.5514

---

28
Lattice="-3.8373 5.7400 1.1984 -2.5296 -0.2976 -6.6740 -7.5125 -5.6695 3.1002" Properties=species:S:1:pos:R:3 comment="NbCr3Cu2S8 PBE optimized geometry" e_tot_ev_per_cell=-179.91 relative_energy_mev_per_atom=2 spacegroup=P222_1 magmom_total_mub_per_fu=9.00 pbc="T T T"
Nb -5.6520 1.2344 -3.5205
Nb -8.2274 -1.4614 1.1451
Cr -3.7809 -1.6412 -4.2453
Cr -7.8613 1.2651 -0.8999
Cr -2.2618 1.3426 -3.0256
Cr -6.6059 1.4279 2.4401
Cr -6.2611 -4.3258 0.6715
Cr -0.9876 1.4774 0.3085
Cu -11.4616 -0.7900 -1.4075
Cu -4.3422 -0.8894 -0.1737
Cu -4.4814 3.6500 -0.3233
Cu -7.4734 -2.4247 -2.8462
S -9.2965 2.5637 -2.3223
S -6.1083 2.7574 -1.6702
S -7.5981 -0.1455 -2.8626
S -7.8521 -3.0457 -0.6717
S -6.3337 -0.0030 0.5036
S -8.5146 0.1003 3.1107
S -8.1852 2.5979 1.0720
S -9.7574 -0.0131 -0.0848
S -10.0275 -2.9088 2.0332
S -6.6655 -2.8732 2.5425
S -8.1875 -5.5111 1.4345
S -7.3060 2.5765 -4.8798
S -2.0894 -0.1046 -4.9350
S -4.0408 -0.1528 -2.3241
S -3.7993 2.6032 -4.4250
S -5.2726 -0.2578 -5.5242

---

28
Lattice="-7.3528 -5.1038 -7.0733 1.4731 -3.0221 0.6492 -7.6134 -1.7410 9.1705" Properties=species:S:1:pos:R:3 comment="NbCr3Cu2S8 PBE optimized geometry" e_tot_ev_per_cell=-174.44 relative_energy_mev_per_atom=198 spacegroup=Pmc2_1 magmom_total_mub_per_fu=8.80 pbc="T T T"
Nb -6.1440 -2.7469 5.6691
Nb -10.3737 -5.4253 2.7989
Cr -1.0595 -1.4669 0.0905
Cr -12.5239 -8.4085 2.8213
Cr -6.0097 -5.2076 2.9396
Cr -7.3409 -4.6145 -0.3083
Cr -7.4144 -7.1340 -2.8398
Cr -3.0503 -4.4248 -0.1316
Cu -2.9052 -3.5843 3.4519
Cu -10.2891 -6.1869 -0.9379
Cu -9.5842 -4.3145 6.1780
Cu -4.0901 -5.5664 -3.0858
S -3.7938 -3.4967 5.8757
S -9.6907 -6.3817 -3.2026
S -3.9944 -3.3679 -2.0989
S -9.5654 -6.5277 4.8628
S -6.5424 -2.4235 8.0784
S -6.9436 -7.4295 -5.2834
S -5.2533 -5.3318 0.6456
S -8.1942 -4.5124 2.1030
S -3.1150 -2.2900 0.9234
S -10.4428 -7.6344 1.7023
S -6.8097 -5.0924 5.2910
S -6.8022 -4.8443 -2.6003
S -0.9570 -3.5911 -1.0001
S -12.6002 -6.2868 3.8407
S -5.4316 -2.9364 3.1708
S -7.9818 -6.9087 -0.5034

---

28
Lattice="6.3443 -0.0446 0.5490 -0.1035 7.2331 1.1048 -0.0373 -0.0816 12.1748" Properties=species:S:1:pos:R:3 comment="NbCr3Cu2S8 PBE optimized geometry" e_tot_ev_per_cell=-173.88 relative_energy_mev_per_atom=218 spacegroup=P1 magmom_total_mub_per_fu=9.00 pbc="T T T"
Nb 5.4061 2.0811 4.4664
Nb 3.9253 3.1400 9.3562
Cr 0.8707 5.0061 9.4688
Cr 1.4308 6.2642 13.2587
Cr 4.7862 0.8100 0.5488
Cr 2.2557 4.0130 4.3847
Cr 2.3036 0.2683 3.8231
Cr 3.7888 6.7696 9.9798
Cu 0.7967 1.3654 8.9143
Cu 5.4630 5.7443 4.9264
Cu 1.5080 2.6192 12.6897
Cu 4.6904 4.5357 1.1461
S 0.5373 4.6864 11.6600
S 5.6192 2.4571 2.2018
S 0.5712 0.9863 11.1595
S 5.6455 6.1226 2.6650
S 1.1164 5.6074 5.4488
S 5.1220 1.4370 8.3257
S 1.2153 2.0153 4.9192
S 5.1207 5.1360 8.9518
S 1.8257 6.9486 8.9398
S 4.3160 0.0931 4.9450
S 1.8436 3.2956 8.2997
S 4.2657 3.8545 5.4867
S 2.5553 0.6535 1.5930
S 3.6511 6.4562 12.2266
S 2.4199 4.3243 2.1660
S 3.7970 2.8058 11.6487

---

28
Lattice="6.0256 0.0000 0.0000 0.0321 6.9466 0.0000 2.3708 0.2351 12.4344" Properties=species:S:1:pos:R:3 comment="NbCr3Cu2S8 PBE optimized geometry" e_tot_ev_per_cell=-178.12 relative_energy_mev_per_atom=67 spacegroup=P1 magmom_total_mub_per_fu=9.00 pbc="T T T"
Nb 3.4710 0.3000 9.3671
Nb 1.7600 1.6123 3.0715
Cr 5.1161 6.9867 3.1477
Cr 3.2829 3.6202 9.2435
Cr 5.1328 3.4732 3.1002
Cr 6.2696 1.9186 9.3074
Cr 2.0781 5.2580 3.1321
Cr 6.2928 5.4026 9.3267
Cu 3.6823 0.0095 0.4407
Cu 1.4496 4.1203 5.8728
Cu 3.2616 7.0197 6.6913
Cu 3.2586 3.7067 11.9343
S 4.3412 1.9421 7.8109
S 6.0965 5.1925 4.4328
S 2.2919 5.3568 10.6373
S 4.0316 1.7485 1.8182
S 2.2310 1.9456 10.7282
S 4.0976 5.2455 1.8572
S 4.3302 5.3389 7.9291
S 5.9906 1.7547 4.5994
S 5.4351 7.1466 10.7949
S 1.0129 6.8869 1.6143
S 7.2795 3.6688 8.0190
S 3.0517 3.4843 4.3777
S 7.3090 0.1887 8.0233
S 3.1291 6.9622 4.4835
S 5.2558 3.6477 10.6044
S 1.0673 3.5540 1.7161

---

28
Lattice="7.0814 0.0000 0.0000 0.0000 5.7258 0.0000 0.0000 0.1112 12.0343" Properties=species:S:1:pos:R:3 comment="NbCr3Cu2S8 PBE optimized geometry" e_tot_ev_per_cell=-178.17 relative_energy_mev_per_atom=64 spacegroup=P2_1/m magmom_total_mub_per_fu=9.00 pbc="T T T"
Nb 5.3110 2.8218 9.0142
Nb 1.7703 3.0153 3.0201
Cr 0.0000 2.8629 0.0000
Cr 0.0000 0.0556 6.0171
Cr 3.5407 0.0556 6.0171
Cr 3.5407 2.8629 0.0000
Cr 1.7703 5.7119 9.1079
Cr 5.3110 0.1252 2.9264
Cu 5.3110 0.7195 10.9023
Cu 1.7703 5.1175 1.1320
Cu 1.7703 3.4650 7.1291
Cu 5.3110 2.3720 4.9052
S 0.0960 1.5822 10.0134
S 6.9853 4.2549 2.0208
S 7.0448 4.4812 8.0575
S 0.0366 1.3559 3.9768
S 3.5041 1.3559 3.9768
S 3.5772 4.4812 8.0575
S 3.6367 4.2549 2.0208
S 3.4447 1.5822 10.0134
S 1.7703 4.3116 11.0517
S 5.3110 1.5255 0.9826
S 5.3110 1.4345 7.0170
S 1.7703 4.4026 5.0173
S 5.3110 4.2201 11.0686
S 1.7703 1.6170 0.9657
S 1.7703 1.2348 7.0718
S 5.3110 4.6022 4.9625

---

no.,formation enthalpy at 0 K (kcal/mol of atoms)
1,-17.5
2,-22.5
3,-17.9
4,-17.5
5,-21.0
6,-21.0